a:
First-principles (PBE) data for RbMg6SbO8 after structural relaxation, as listed in the Materials Project database.

- total magnetic moment (μB per formula unit) = 0.0

Geometry as POSCAR:
```
RbMg6SbO8
1.0
9.022 0.000 0.000
0.000 4.649 0.000
0.000 0.000 4.649
Rb Mg Sb O
1 6 1 8
Cartesian
0.000 0.000 0.000
4.511 0.000 0.000
4.511 2.324 2.324
2.445 0.000 2.324
6.577 0.000 2.324
2.445 2.324 0.000
6.577 2.324 0.000
0.000 2.324 2.324
2.563 0.000 0.000
6.459 0.000 0.000
2.395 2.324 2.324
6.627 2.324 2.324
0.000 0.000 2.324
4.511 0.000 2.324
0.000 2.324 0.000
4.511 2.324 0.000
```

b:
First-principles (PBE) data for RbMg6SbO8 after structural relaxation, as listed in the Materials Project database.

- total magnetic moment (μB per formula unit) = 0.0

Geometry as POSCAR:
```
RbMg6SbO8
1.0
-3.095 -7.683 3.619
3.198 0.314 3.401
-3.017 2.445 2.610
Rb Mg Sb O
1 6 1 8
Cartesian
0.000 0.000 0.000
0.091 1.379 3.006
-1.457 -2.462 4.815
-2.236 -0.584 2.156
-3.876 -4.653 4.073
0.871 -1.650 2.552
-0.768 -5.719 4.469
-1.548 -3.841 1.810
-0.828 -2.056 0.968
-2.267 -5.627 2.651
-0.690 -0.559 3.919
-2.224 -4.365 5.712
-1.508 1.222 1.305
-3.056 -2.619 3.115
1.599 0.157 1.701
0.051 -3.684 3.510
```

Which of them is the least stable? Correct choice: b.